No. 1
Crystalline EuAl2S4 at its relaxed geometry, computed with PBE. Values from VASP.

Symmetry = Cccm, No. 66
E_form = -12.0 eV per formula unit

Quantum ESPRESSO input file:
```
&SYSTEM
  ibrav = 0, nat = 14, ntyp = 3
/
ATOMIC_SPECIES
Al 26.98 Al.upf
S 32.06 S.upf
Eu 151.96 Eu.upf
ATOMIC_POSITIONS crystal
Al 0.762 0.241 0.500
S 0.353 0.181 0.500
S 0.000 0.500 0.664
S 0.181 0.353 0.000
S 0.500 0.000 0.164
Eu 0.500 0.500 0.250
Eu 0.500 0.500 0.750
Al 0.759 0.238 0.000
S 0.000 0.500 0.336
Al 0.238 0.759 0.500
Al 0.241 0.762 0.000
S 0.819 0.647 0.000
S 0.500 0.000 0.836
S 0.647 0.819 0.500
CELL_PARAMETERS angstrom
2.978 -5.215 0.000
2.978 5.215 0.000
0.000 0.000 10.508
```

=====

No. 2
Crystalline Mg6BSb at its relaxed geometry, computed with PBE. Values from VASP.

Relative energy among the computed polymorphs = 0.50 eV/f.u.
E_form = 1.6 eV per formula unit

Quantum ESPRESSO input file:
```
&SYSTEM
  ibrav = 0, nat = 16, ntyp = 3
/
ATOMIC_SPECIES
Mg 24.30 Mg.upf
Sb 121.76 Sb.upf
B 10.81 B.upf
ATOMIC_POSITIONS crystal
Mg 0.000 0.753 0.064
Sb 0.500 0.000 0.658
Sb 0.500 0.500 0.158
Mg 0.000 0.000 0.323
Mg 0.500 0.500 0.678
Mg 0.000 0.247 0.064
Mg 0.500 0.724 0.397
Mg 0.500 0.276 0.397
Mg 0.500 0.000 0.178
Mg 0.000 0.500 0.823
B 0.000 0.500 0.420
Mg 0.000 0.253 0.564
Mg 0.000 0.747 0.564
B 0.000 0.000 0.920
Mg 0.500 0.776 0.897
Mg 0.500 0.224 0.897
CELL_PARAMETERS angstrom
4.480 0.000 0.000
0.000 5.951 0.000
0.000 0.000 13.033
```

=====

No. 3
Crystalline NaMg30TiO32 at its relaxed geometry, computed with PBE. Values from VASP.

Symmetry = P4/mmm, No. 123
Relative energy among the computed polymorphs = 0.34 eV/f.u.
E_form = -192.9 eV per formula unit

Quantum ESPRESSO input file:
```
&SYSTEM
  ibrav = 0, nat = 64, ntyp = 4
/
ATOMIC_SPECIES
Mg 24.30 Mg.upf
Na 22.99 Na.upf
O 16.00 O.upf
Ti 47.87 Ti.upf
ATOMIC_POSITIONS crystal
Mg 0.500 0.500 0.500
Na 0.500 0.500 0.000
O 0.249 0.751 0.249
O 0.247 0.500 0.500
O 0.236 0.500 0.000
O 0.249 0.249 0.249
O 0.000 0.751 0.500
Mg 0.252 0.500 0.249
Mg 0.748 0.500 0.249
Mg 0.253 0.000 0.252
O 0.500 0.500 0.263
O 0.000 0.000 0.752
Mg 0.749 0.749 0.500
Mg 0.745 0.255 0.000
O 0.751 0.751 0.751
O 0.751 0.751 0.249
O 0.249 0.000 0.500
O 0.249 0.249 0.751
Mg 0.747 0.000 0.252
O 0.249 0.751 0.751
Mg 0.748 0.500 0.751
Mg 0.251 0.749 0.500
Mg 0.253 0.000 0.748
O 0.751 0.000 0.500
Mg 0.500 0.252 0.249
O 0.751 0.249 0.751
O 0.000 0.242 0.000
O 0.500 0.000 0.749
Mg 0.000 0.747 0.748
Mg 0.255 0.745 0.000
O 0.000 0.249 0.500
O 0.753 0.500 0.500
Mg 0.500 0.748 0.751
Mg 0.252 0.500 0.751
O 0.500 0.500 0.737
O 0.500 0.753 0.500
Mg 0.745 0.745 0.000
Mg 0.000 0.000 0.500
Mg 0.000 0.253 0.252
Mg 0.749 0.251 0.500
Mg 0.500 0.000 0.000
O 0.000 0.500 0.251
O 0.500 0.000 0.251
O 0.000 0.000 0.248
Mg 0.500 0.000 0.500
Mg 0.251 0.251 0.500
O 0.000 0.758 0.000
Mg 0.000 0.500 0.500
O 0.751 0.249 0.249
Mg 0.000 0.747 0.252
Ti 0.000 0.000 0.000
O 0.242 0.000 0.000
Mg 0.000 0.500 0.000
O 0.500 0.236 0.000
O 0.764 0.500 0.000
Mg 0.500 0.252 0.751
O 0.000 0.500 0.749
Mg 0.000 0.253 0.748
O 0.758 0.000 0.000
Mg 0.255 0.255 0.000
O 0.500 0.247 0.500
Mg 0.500 0.748 0.249
O 0.500 0.764 0.000
Mg 0.747 0.000 0.748
CELL_PARAMETERS angstrom
8.539 0.000 0.000
0.000 8.539 0.000
0.000 0.000 8.552
```

=====

No. 4
Crystalline La5PPb3 at its relaxed geometry, computed with PBE. Values from VASP.

Symmetry = P6_3/mcm, No. 193
E_form = -7.8 eV per formula unit

Quantum ESPRESSO input file:
```
&SYSTEM
  ibrav = 0, nat = 18, ntyp = 3
/
ATOMIC_SPECIES
La 138.91 La.upf
P 30.97 P.upf
Pb 207.20 Pb.upf
ATOMIC_POSITIONS crystal
La 0.764 0.764 0.250
La 0.236 0.236 0.750
P 0.000 0.000 0.500
Pb 0.000 0.598 0.250
La 0.764 0.000 0.750
La 0.333 0.667 0.500
Pb 0.598 0.598 0.750
Pb 0.000 0.402 0.750
La 0.236 0.000 0.250
Pb 0.402 0.402 0.250
La 0.667 0.333 0.000
P 0.000 0.000 0.000
La 0.333 0.667 0.000
Pb 0.598 0.000 0.250
La 0.000 0.236 0.250
La 0.667 0.333 0.500
Pb 0.402 0.000 0.750
La 0.000 0.764 0.750
CELL_PARAMETERS angstrom
4.830 -8.367 0.000
4.830 8.367 0.000
0.000 0.000 7.321
```

=====

No. 5
Crystalline Ca2CuH6C6O12 at its relaxed geometry, computed with PBE. Values from VASP.

Symmetry = C2/c, No. 15
E_form = -42.1 eV per formula unit

Quantum ESPRESSO input file:
```
&SYSTEM
  ibrav = 0, nat = 54, ntyp = 5
/
ATOMIC_SPECIES
C 12.01 C.upf
O 16.00 O.upf
Ca 40.08 Ca.upf
H 1.01 H.upf
Cu 63.55 Cu.upf
ATOMIC_POSITIONS crystal
C 0.197 0.005 0.777
C 0.125 0.347 0.830
O 0.243 0.329 0.773
O 0.111 0.983 0.867
C 0.292 0.593 0.070
C 0.593 0.292 0.570
C 0.875 0.653 0.170
Ca 0.528 0.790 0.063
O 0.678 0.052 0.156
C 0.803 0.995 0.223
O 0.671 0.757 0.727
C 0.708 0.407 0.930
O 0.757 0.671 0.227
H 0.155 0.081 0.629
O 0.548 0.644 0.427
O 0.329 0.243 0.273
O 0.644 0.548 0.927
O 0.889 0.017 0.133
H 0.359 0.680 0.563
C 0.995 0.803 0.723
C 0.347 0.125 0.330
O 0.052 0.678 0.656
C 0.005 0.197 0.277
O 0.948 0.322 0.344
O 0.685 0.194 0.718
H 0.641 0.320 0.437
H 0.112 0.317 0.995
O 0.603 0.977 0.791
O 0.322 0.948 0.844
Ca 0.210 0.472 0.437
Cu 0.905 0.095 0.750
H 0.845 0.919 0.371
H 0.317 0.112 0.495
H 0.081 0.155 0.129
O 0.806 0.315 0.782
O 0.023 0.397 0.709
C 0.407 0.708 0.430
O 0.452 0.356 0.573
Cu 0.095 0.905 0.250
O 0.977 0.603 0.291
H 0.888 0.683 0.005
O 0.983 0.111 0.367
O 0.017 0.889 0.633
O 0.315 0.806 0.282
O 0.397 0.023 0.209
O 0.356 0.452 0.073
H 0.320 0.641 0.937
H 0.919 0.845 0.871
H 0.683 0.888 0.505
Ca 0.790 0.528 0.563
O 0.194 0.685 0.218
C 0.653 0.875 0.670
Ca 0.472 0.210 0.937
H 0.680 0.359 0.063
CELL_PARAMETERS angstrom
-10.900 -4.632 2.631
-7.275 -8.607 -4.491
1.819 -5.071 3.756
```

=====

No. 6
Crystalline TlPd3 at its relaxed geometry, computed with PBE. Values from VASP.

Symmetry = Pm-3m, No. 221
E_form = -0.8 eV per formula unit

Quantum ESPRESSO input file:
```
&SYSTEM
  ibrav = 0, nat = 4, ntyp = 2
/
ATOMIC_SPECIES
Pd 106.42 Pd.upf
Tl 204.38 Tl.upf
ATOMIC_POSITIONS crystal
Pd 0.500 0.500 0.000
Pd 0.500 0.000 0.500
Tl 0.000 0.000 0.000
Pd 0.000 0.500 0.500
CELL_PARAMETERS angstrom
-3.690 0.854 1.549
-0.671 -3.991 0.601
1.636 0.288 3.739
```

=====

No. 7
Crystalline Ni3W3C at its relaxed geometry, computed with PBE. Values from VASP.

Symmetry = Fd-3m, No. 227
E_form = -0.2 eV per formula unit

Quantum ESPRESSO input file:
```
&SYSTEM
  ibrav = 0, nat = 28, ntyp = 3
/
ATOMIC_SPECIES
W 183.84 W.upf
Ni 58.69 Ni.upf
C 12.01 C.upf
ATOMIC_POSITIONS crystal
W 0.293 0.293 0.707
Ni 0.995 0.335 0.335
W 0.543 0.543 0.957
Ni 0.335 0.335 0.335
W 0.293 0.707 0.293
W 0.957 0.543 0.543
C 0.625 0.625 0.125
C 0.125 0.625 0.625
W 0.957 0.543 0.957
Ni 0.125 0.125 0.625
W 0.543 0.957 0.543
Ni 0.625 0.125 0.125
Ni 0.915 0.915 0.255
Ni 0.125 0.125 0.125
Ni 0.335 0.995 0.335
W 0.707 0.293 0.293
Ni 0.255 0.915 0.915
Ni 0.335 0.335 0.995
W 0.707 0.293 0.707
W 0.543 0.957 0.957
Ni 0.125 0.625 0.125
W 0.293 0.707 0.707
W 0.707 0.707 0.293
C 0.625 0.125 0.625
C 0.625 0.625 0.625
W 0.957 0.957 0.543
Ni 0.915 0.255 0.915
Ni 0.915 0.915 0.915
CELL_PARAMETERS angstrom
0.000 5.544 5.544
5.544 0.000 5.544
5.544 5.544 0.000
```

=====

No. 8
Crystalline Rb6NaU3Si4O20F at its relaxed geometry, computed with PBE. Values from VASP.

Symmetry = Pnnm, No. 58
E_form = -110.6 eV per formula unit

Quantum ESPRESSO input file:
```
&SYSTEM
  ibrav = 0, nat = 70, ntyp = 6
/
ATOMIC_SPECIES
U 238.03 U.upf
O 16.00 O.upf
Si 28.09 Si.upf
Rb 85.47 Rb.upf
Na 22.99 Na.upf
F 19.00 F.upf
ATOMIC_POSITIONS crystal
U 0.000 0.000 0.000
O 0.620 0.407 0.500
O 0.177 0.860 0.500
Si 0.141 0.825 0.303
Rb 0.070 0.300 0.000
Si 0.859 0.175 0.697
O 0.739 0.219 0.786
Rb 0.430 0.800 0.500
O 0.540 0.760 0.815
O 0.239 0.281 0.286
O 0.097 0.923 0.208
Rb 0.686 0.943 0.247
O 0.261 0.781 0.786
Rb 0.814 0.443 0.253
Na 0.500 0.500 0.000
O 0.239 0.281 0.714
O 0.040 0.740 0.315
U 0.112 0.273 0.500
Si 0.359 0.325 0.197
U 0.500 0.500 0.500
O 0.823 0.140 0.500
Si 0.641 0.675 0.197
O 0.597 0.577 0.292
O 0.261 0.781 0.214
O 0.870 0.863 0.500
O 0.903 0.077 0.792
O 0.630 0.363 0.000
Na 0.000 0.000 0.500
O 0.370 0.637 0.000
O 0.960 0.260 0.315
O 0.095 0.407 0.500
O 0.761 0.719 0.714
O 0.403 0.423 0.292
O 0.097 0.923 0.792
Rb 0.314 0.057 0.753
O 0.540 0.760 0.185
Rb 0.814 0.443 0.747
Rb 0.314 0.057 0.247
O 0.739 0.219 0.214
O 0.120 0.093 0.000
U 0.888 0.727 0.500
U 0.612 0.227 0.000
Si 0.859 0.175 0.303
O 0.130 0.137 0.500
O 0.460 0.240 0.815
U 0.388 0.773 0.000
O 0.761 0.719 0.286
O 0.403 0.423 0.708
Rb 0.186 0.557 0.747
Si 0.641 0.675 0.803
Si 0.141 0.825 0.697
Rb 0.930 0.700 0.000
Rb 0.686 0.943 0.753
O 0.880 0.907 0.000
O 0.595 0.093 0.000
O 0.960 0.260 0.685
F 0.500 0.000 0.500
O 0.405 0.907 0.000
O 0.597 0.577 0.708
Rb 0.186 0.557 0.253
Si 0.359 0.325 0.803
Rb 0.570 0.200 0.500
F 0.000 0.500 0.000
O 0.903 0.077 0.208
O 0.460 0.240 0.185
O 0.905 0.593 0.500
O 0.380 0.593 0.500
O 0.677 0.640 0.000
O 0.040 0.740 0.685
O 0.323 0.360 0.000
CELL_PARAMETERS angstrom
11.260 0.000 0.000
0.000 13.843 0.000
0.000 0.000 7.949
```

=====

| no. | uncorrected energy (eV/atom) |
| --- | --- |
| 1 | -6.330 |
| 2 | -2.327 |
| 3 | -6.039 |
| 4 | -5.444 |
| 5 | -6.557 |
| 6 | -4.669 |
| 7 | -9.382 |
| 8 | -7.431 |